Entry 1:
Material: CdHg2SeO6
Method: DFT, PBE
State: optimized geometry

Computed properties:
Total DFT energy (no corrections) ... -4.13 eV per atom
Formation enthalpy at 0 K ... -1075 meV/atom
Theoretical density ... 6920 kg/m³
Excess energy over the best structure of this formula in the dataset ... 0.00 eV/f.u.

```
CdHg2SeO6
1.0
7.023 0.000 0.000
3.190 6.627 0.000
2.814 0.938 7.100
Cd Hg Se O
2 4 2 12
direct
0.166 0.363 0.288
0.834 0.637 0.712
0.158 0.859 0.292
0.344 0.144 0.709
0.656 0.856 0.291
0.842 0.141 0.708
0.297 0.634 0.813
0.703 0.366 0.187
0.050 0.303 0.638
0.136 0.706 0.670
0.222 0.826 0.930
0.279 0.421 0.955
0.347 0.023 0.257
0.442 0.421 0.331
0.558 0.579 0.669
0.653 0.977 0.743
0.721 0.579 0.045
0.778 0.174 0.070
0.864 0.294 0.330
0.950 0.697 0.362
```

Entry 2:
Material: CdHgPd2
Method: DFT, PBE
State: optimized geometry

Computed properties:
Total DFT energy (no corrections) ... -3.18 eV per atom
Formation enthalpy at 0 K ... -285 meV/atom
Theoretical density ... 12164 kg/m³

```
CdHgPd2
1.0
0.000 3.299 3.299
3.299 0.000 3.299
3.299 3.299 0.000
Cd Hg Pd
1 1 2
direct
0.000 0.000 0.000
0.500 0.500 0.500
0.250 0.250 0.250
0.750 0.750 0.750
```

Entry 3:
Material: Pr2CdHg
Method: DFT, PBE
State: optimized geometry

Computed properties:
Total DFT energy (no corrections) ... -3.08 eV per atom
Formation enthalpy at 0 K ... -386 meV/atom
Theoretical density ... 8457 kg/m³

```
Pr2CdHg
1.0
0.000 3.880 3.880
3.880 0.000 3.880
3.880 3.880 0.000
Pr Cd Hg
2 1 1
direct
0.250 0.250 0.250
0.750 0.750 0.750
0.000 0.000 0.000
0.500 0.500 0.500
```

Entry 4:
Material: CdHgS4
Method: DFT, PBE
State: optimized geometry

Computed properties:
Total DFT energy (no corrections) ... -2.94 eV per atom
Formation enthalpy at 0 K ... -309 meV/atom
Theoretical density ... 5123 kg/m³
Excess energy over the best structure of this formula in the dataset ... 0.00 eV/f.u.

```
CdHgS4
1.0
-3.887 3.887 2.366
3.887 -3.887 2.366
3.887 3.887 -2.366
Cd Hg S
1 1 4
direct
0.000 0.000 0.000
0.750 0.250 0.500
0.097 0.133 0.466
0.369 0.903 0.036
0.667 0.631 0.534
0.867 0.333 0.964
```

Entry 5:
Material: CdHgS4
Method: DFT, PBE
State: optimized geometry

Computed properties:
Total DFT energy (no corrections) ... -2.60 eV per atom
Formation enthalpy at 0 K ... 25 meV/atom
Theoretical density ... 4505 kg/m³
Excess energy over the best structure of this formula in the dataset ... 2.00 eV/f.u.

```
CdHgS4
1.0
-5.198 5.198 1.505
5.198 -5.198 1.505
5.198 5.198 -1.505
Cd Hg S
1 1 4
direct
0.000 0.000 0.000
0.750 0.250 0.500
0.049 0.575 0.101
0.052 0.951 0.526
0.425 0.526 0.474
0.474 0.948 0.899
```

Entry 6:
Material: SmCdHg2
Method: DFT, PBE
State: optimized geometry

Computed properties:
Total DFT energy (no corrections) ... -1.96 eV per atom
Formation enthalpy at 0 K ... -401 meV/atom
Theoretical density ... 11316 kg/m³

```
SmCdHg2
1.0
0.000 3.652 3.652
3.652 0.000 3.652
3.652 3.652 0.000
Sm Cd Hg
1 1 2
direct
0.000 0.000 0.000
0.500 0.500 0.500
0.250 0.250 0.250
0.750 0.750 0.750
```

The highest theoretical density belongs to which entry? CdHgPd2

formation enthalpy at 0 K of number 6 (SmCdHg2)? -401 meV/atom